DFT (PBE+U) results for a relaxed Na2MgMn2O4 crystal.

Values from the calculation:
Energy of formation from the pure elements: -43.4 kcal/mol of atoms
Crystal system: monoclinic
E: -5.913 eV/atom
E above lowest polymorph: 0.0028 eV/atom

```
9
Lattice="5.561 0.000 0.000 0.000 3.171 0.000 -0.009 0.000 6.360" Properties=species:S:1:pos:R:3 pbc="T T T"
Na 0.000 0.000 0.000
Na 1.551 1.586 4.764
Mg 3.461 1.586 0.254
Mn 1.373 1.586 2.055
Mn 4.188 0.000 3.384
O 2.027 0.000 3.229
O 2.221 0.000 0.314
O 4.571 1.586 4.915
O 4.828 1.586 1.750
```



DFT (PBE+U) results for a relaxed Na2MgMn4O8 crystal.

Values from the calculation:
Energy of formation from the pure elements: -46.8 kcal/mol of atoms
Crystal system: triclinic
E: -6.584 eV/atom
E above lowest polymorph: 0.0497 eV/atom

```
15
Lattice="3.021 0.000 0.000 -0.197 6.363 0.000 -0.033 -0.718 8.696" Properties=species:S:1:pos:R:3 pbc="T T T"
Na 0.000 0.000 0.000
Na 1.392 1.557 2.334
Mg 1.452 0.980 6.479
Mn -0.126 2.424 8.644
Mn 1.304 4.571 2.118
Mn 1.356 4.005 6.319
Mn 2.801 5.883 4.315
O -0.214 5.722 6.261
O -0.103 2.474 6.611
O 1.241 4.598 0.044
O 1.295 4.587 4.178
O 1.481 0.740 4.446
O 1.548 1.033 8.549
O 2.838 3.303 1.945
O 2.797 5.899 2.352
```



DFT (PBE+U) results for a relaxed Na2MgMn2O4 crystal.

Values from the calculation:
Energy of formation from the pure elements: -43.5 kcal/mol of atoms
Crystal system: monoclinic
E: -5.916 eV/atom
E above lowest polymorph: 0.0000 eV/atom

```
9
Lattice="5.464 0.000 0.000 0.000 3.211 0.000 -0.169 0.000 6.956" Properties=species:S:1:pos:R:3 pbc="T T T"
Na 0.000 0.000 0.000
Na 2.523 1.606 5.591
Mg 0.840 1.606 3.435
Mn 2.884 1.606 1.389
Mn 4.129 0.000 3.679
O 2.040 0.000 3.481
O 2.425 0.000 0.236
O 4.791 1.606 2.143
O 4.894 1.606 4.919
```



The lowest E belongs to which entry? Na2MgMn4O8



Among the records above, which one has the highest E above lowest polymorph? Na2MgMn4O8



Number 3 is which compound? Na2MgMn2O4